1.
Density functional theory data (PBE-GGA) for a relaxed structure of Sc3P.

```
Sc3P
1.0
-2.0343 2.0343 4.7338
2.0343 -2.0343 4.7338
2.0343 2.0343 -4.7338
Sc P
3 1
Direct
0.5000 0.5000 0.0000
0.2500 0.7500 0.5000
0.7500 0.2500 0.5000
0.0000 0.0000 0.0000
```

As for the density: 3.5 g/cm³. For the total moment, the calculation gives 1.27 Bohr magnetons per cell. The energy relative to the lowest polymorph listed for this composition comes out at 342.0 meV per atom. Its energy of formation is -0.47 eV per atom.

---

2.
Density functional theory data (PBE-GGA) for a relaxed structure of Hf4CN3.

```
Hf4CN3
1.0
0.6936 10.3874 2.4868
-2.3797 10.3294 1.4851
-1.6600 9.5501 4.5391
N Hf C
3 4 1
Direct
0.5000 0.5000 0.5000
0.7515 0.7515 0.7515
0.2485 0.2485 0.2485
0.1258 0.1258 0.1258
0.3745 0.3745 0.3745
0.8742 0.8742 0.8742
0.6255 0.6255 0.6255
0.0000 0.0000 0.0000
```

As for the density: 13.4 g/cm³. Its energy of formation is -1.72 eV per atom.

---

3.
Density functional theory data (PBE-GGA) for a relaxed structure of ZnSb2O4.

```
ZnSb2O4
1.0
-6.5256 0.0000 0.0000
3.2432 6.1634 0.0000
-0.0200 -0.9430 -17.4036
O Sb Zn
24 12 6
Direct
0.6198 0.8176 0.0626
0.7950 0.6082 0.9269
0.0476 0.0730 0.6983
0.2996 0.6437 0.4177
0.3922 0.7784 0.8949
0.7989 0.1272 0.4221
0.2046 0.3888 0.0524
0.4965 0.4519 0.2676
0.0143 0.4926 0.7904
0.8558 0.7252 0.3728
0.2996 0.1314 0.4289
0.1474 0.7648 0.5835
0.3704 0.1719 0.9441
0.1726 0.3472 0.5456
0.5391 0.0558 0.2261
0.4982 0.5019 0.7862
0.6468 0.7845 0.5949
0.0358 0.1284 0.2781
0.4388 0.8777 0.7458
0.1818 0.8082 0.0620
0.8108 0.1835 0.9456
0.9719 0.4742 0.2681
0.6921 0.4230 0.1250
0.5598 0.2366 0.5902
0.6641 0.3228 0.8675
0.1661 0.8090 0.8204
0.8368 0.6831 0.2590
0.0345 0.5137 0.4955
0.1721 0.3359 0.9411
0.3915 0.2217 0.1754
0.9455 0.9524 0.4586
0.4896 0.3925 0.5128
0.8772 0.2038 0.1946
0.3284 0.6635 0.1205
0.8917 0.7719 0.6576
0.6498 0.8136 0.8213
0.2188 0.4191 0.3306
0.8157 0.6498 0.0437
0.4688 0.9631 0.4086
0.4807 0.9524 0.6278
0.4915 0.9779 0.9956
0.1878 0.3581 0.7395
```

As for the density: 5.3 g/cm³. For the total moment, the calculation gives 0.00 Bohr magnetons per cell. The energy relative to the lowest polymorph listed for this composition comes out at 174.7 meV per atom. Its energy of formation is -1.58 eV per atom.

---

4.
Density functional theory data (PBE-GGA) for a relaxed structure of UH12Cl3O6.

```
UH12Cl3O6
1.0
6.6891 0.0000 0.0000
0.0000 8.0461 0.0000
0.0000 7.5171 9.7758
U Cl O H
2 6 12 24
Direct
0.1505 0.0000 0.2500
0.8495 0.0000 0.7500
0.8236 0.7950 0.4468
0.8236 0.2050 0.0532
0.1764 0.2050 0.5532
0.6324 0.5000 0.2500
0.3676 0.5000 0.7500
0.1764 0.7950 0.9468
0.7053 0.3421 0.5532
0.4326 0.0619 0.3538
0.5674 0.9381 0.6462
0.9554 0.2636 0.7863
0.0446 0.2636 0.2863
0.7053 0.6579 0.9468
0.2947 0.6579 0.4468
0.4326 0.9381 0.1462
0.2947 0.3421 0.0532
0.9554 0.7364 0.7137
0.0446 0.7364 0.2137
0.5674 0.0619 0.8538
0.9097 0.7506 0.6317
0.3327 0.6222 0.5363
0.0903 0.2494 0.3683
0.4449 0.9737 0.8862
0.0903 0.7506 0.1317
0.4792 0.2036 0.3180
0.7446 0.4776 0.5325
0.2554 0.5224 0.4675
0.9127 0.3323 0.2633
0.5551 0.0263 0.1138
0.6673 0.3778 0.4637
0.9127 0.6677 0.2367
0.2554 0.4776 0.0325
0.5551 0.9737 0.3862
0.5208 0.7964 0.6820
0.6673 0.6222 0.0363
0.0873 0.6677 0.7367
0.4449 0.0263 0.6138
0.4792 0.7964 0.1820
0.9097 0.2494 0.8683
0.0873 0.3323 0.7633
0.7446 0.5224 0.9675
0.5208 0.2036 0.8180
0.3327 0.3778 0.9637
```

As for the density: 2.9 g/cm³. For the total moment, the calculation gives 6.00 Bohr magnetons per cell. Its energy of formation is -1.36 eV per atom.